Here is a geometry-optimized Cs2NdCuI6 structure from the Materials Project database. Energies are from PBE.

a = 8.520 Å, b = 8.520 Å, c = 8.520 Å
α = 60.00°, β = 60.00°, γ = 60.00°
Fractional positions:
Cs: 0.750 0.750 0.750
Cs: 0.250 0.250 0.250
Nd: 0.500 0.500 0.500
Cu: 0.000 0.000 0.000
I: 0.759 0.241 0.241
I: 0.241 0.241 0.759
I: 0.241 0.759 0.759
I: 0.241 0.759 0.241
I: 0.759 0.241 0.759
I: 0.759 0.759 0.241

Calculated values
crystal system: cubic
energy with MP2020 corrections: -3.38 eV/atom
VASP energy: -3.16 eV/atom
energy of formation from the pure elements: -14.0 eV per formula unit